A relaxed AgO crystal. Source: the Materials Project database, functional r2SCAN.

Total magnetization ... 0.00 Bohr magnetons per cell
Energy of formation from the pure elements ... -179 meV per atom
SG ... No. 15

Unit cell a=3.223 b=3.223 c=5.576 alpha=89.52 beta=89.52 gamma=85.04
Sites, in units of the cell vectors:
Ag (0.000, 0.500, 0.500)
Ag (0.500, 0.000, 0.000)
O (0.996, 0.004, 0.250)
O (0.004, 0.996, 0.750)